Record 1
Density functional theory data (PBE) for a relaxed Mg14CuSiO16 crystal.

## Properties
E above lowest polymorph (meV per atom): 20.4
SG: P4/mmm (123)
Raw total energy (eV/atom): -5.912

Cell: 8.578 8.578 4.257 Å, 90.00 90.00 90.00°
Fractional positions:
O: 0.251 0.749 0.500
O: 0.000 0.500 0.500
O: 0.500 0.267 0.000
Mg: 0.753 0.500 0.500
Mg: 0.757 0.757 0.000
O: 0.000 0.731 0.000
Mg: 0.243 0.243 0.000
O: 0.500 0.500 0.500
O: 0.500 0.000 0.500
O: 0.251 0.251 0.500
O: 0.749 0.251 0.500
Mg: 0.000 0.755 0.500
O: 0.733 0.500 0.000
Si: 0.500 0.500 0.000
O: 0.267 0.500 0.000
Mg: 0.247 0.500 0.500
O: 0.731 0.000 0.000
Mg: 0.757 0.243 0.000
Mg: 0.245 0.000 0.500
Mg: 0.500 0.753 0.500
Mg: 0.243 0.757 0.000
O: 0.000 0.269 0.000
Mg: 0.000 0.245 0.500
O: 0.000 0.000 0.500
O: 0.749 0.749 0.500
Mg: 0.500 0.000 0.000
Cu: 0.000 0.000 0.000
Mg: 0.500 0.247 0.500
Mg: 0.000 0.500 0.000
O: 0.269 0.000 0.000
Mg: 0.755 0.000 0.500
O: 0.500 0.733 0.000

***

Record 2
Density functional theory data (PBE) for a relaxed NiN crystal.

## Properties
E above lowest polymorph (meV per atom): 19.7
SG: P6_3mc (186)
Raw total energy (eV/atom): -6.605

Cell: 3.033 3.033 5.070 Å, 90.00 90.00 120.00°
Fractional positions:
Ni: 0.667 0.333 0.873
N: 0.333 0.667 0.002
Ni: 0.333 0.667 0.373
N: 0.667 0.333 0.502

***

Record 3
Density functional theory data (PBE) for a relaxed Cr3GaFe3As2 crystal.

## Properties
SG: P-62m (189)
Raw total energy (eV/atom): -7.389

Cell: 6.002 6.002 3.820 Å, 90.00 90.00 120.00°
Fractional positions:
Cr: 0.575 0.575 0.500
As: 0.667 0.333 0.000
As: 0.333 0.667 0.000
Fe: 0.758 0.000 0.000
Fe: 0.000 0.758 0.000
Cr: 0.425 0.000 0.500
Ga: 0.000 0.000 0.500
Cr: 0.000 0.425 0.500
Fe: 0.242 0.242 0.000

***

The ΔH_f (0 K) results, record by record, are as follows: -2.783 0.273 0.024 eV per atom.